--- i ---
Below is an optimized crystal structure of Li2CoP4O12, with properties calculated at the GGA+U level.

Summary:
Symmetry ... P-1
Size of the total moment ... 3.00 μB per formula unit

a = 4.9665 Å, b = 7.1665 Å, c = 7.6049 Å
α = 115.31°, β = 82.30°, γ = 109.79°
Fractional positions:
Li  0.9766  0.2450  0.4462
O  0.7174  0.9821  0.2094
O  0.7704  0.4622  0.3693
O  0.2296  0.5378  0.6307
P  0.5610  0.1927  0.7884
P  0.4390  0.8073  0.2116
O  0.2208  0.8698  0.3570
O  0.2934  0.6934  0.9950
P  0.5619  0.4032  0.2169
Li  0.0234  0.7550  0.5538
O  0.7346  0.7562  0.7881
P  0.4381  0.5968  0.7831
O  0.2654  0.2438  0.2119
Co  0.0000  0.0000  0.0000
O  0.5268  0.6175  0.2211
O  0.4732  0.3825  0.7789
O  0.7792  0.1302  0.6430
O  0.2826  0.0179  0.7906
O  0.7066  0.3066  0.0050


--- ii ---
Below is an optimized crystal structure of Li2CoP4O12, with properties calculated at the GGA+U level.

Summary:
Symmetry ... P2_1/c
Size of the total moment ... 3.00 μB per formula unit

a = 10.2833 Å, b = 9.2319 Å, c = 9.4274 Å
α = 87.79°, β = 90.00°, γ = 90.00°
Fractional positions:
O  0.2708  0.9367  0.8871
P  0.1113  0.9490  0.2921
O  0.9610  0.5766  0.3420
O  0.0390  0.4234  0.6580
O  0.9629  0.2502  0.1097
O  0.6493  0.2630  0.8542
P  0.6064  0.7311  0.8025
O  0.2914  0.5644  0.8953
O  0.1262  0.9363  0.1338
O  0.0387  0.0959  0.3274
O  0.2086  0.5644  0.3953
P  0.9707  0.2421  0.2697
O  0.7914  0.4356  0.6047
P  0.8887  0.0510  0.7079
O  0.2801  0.2519  0.1006
O  0.0088  0.8344  0.3554
P  0.0293  0.7579  0.7303
O  0.4629  0.7498  0.3903
P  0.1064  0.2689  0.6975
O  0.7199  0.7481  0.8994
P  0.3936  0.2689  0.1975
P  0.5293  0.2421  0.7697
O  0.2199  0.2519  0.6006
O  0.5387  0.9041  0.1726
Li  0.1783  0.4044  0.9957
P  0.4707  0.7579  0.2303
Li  0.3217  0.4044  0.4957
O  0.4169  0.3515  0.8194
O  0.9912  0.1656  0.6446
O  0.5088  0.1656  0.1446
O  0.8507  0.2630  0.3542
Li  0.1827  0.0987  0.9939
O  0.6262  0.7477  0.6452
O  0.1493  0.7370  0.6458
Li  0.8217  0.5956  0.0043
O  0.8738  0.7477  0.1452
P  0.1038  0.5223  0.2936
O  0.5371  0.2502  0.6097
O  0.5390  0.5766  0.8420
O  0.1262  0.2523  0.8548
P  0.8936  0.7311  0.3025
O  0.6213  0.4420  0.3636
O  0.4912  0.8344  0.8554
Li  0.6783  0.5956  0.5043
O  0.4613  0.0959  0.8274
O  0.3787  0.5579  0.6364
P  0.6113  0.0510  0.2079
O  0.6262  0.0637  0.3662
O  0.0831  0.3515  0.3194
Li  0.6827  0.9013  0.5061
O  0.1213  0.5579  0.1364
Li  0.8173  0.9013  0.0061
O  0.2292  0.9367  0.3871
O  0.0371  0.7498  0.8903
Co  0.6977  0.2519  0.4826
O  0.7801  0.7481  0.3994
O  0.7292  0.0633  0.1129
Co  0.3023  0.7481  0.5174
P  0.3887  0.9490  0.7921
O  0.3507  0.7370  0.1458
O  0.3738  0.9363  0.6338
P  0.8962  0.4777  0.7064
O  0.7708  0.0633  0.6129
Co  0.8023  0.2519  0.9826
O  0.8787  0.4420  0.8636
O  0.5831  0.6485  0.1806
O  0.4610  0.4234  0.1580
Li  0.3173  0.0987  0.4939
O  0.8738  0.0637  0.8662
P  0.6038  0.4777  0.2064
O  0.9613  0.9041  0.6726
O  0.9169  0.6485  0.6806
O  0.7086  0.4356  0.1047
O  0.3738  0.2523  0.3548
Co  0.1977  0.7481  0.0174
P  0.3962  0.5223  0.7936


The winner here is ii, beating the second structure by 30 meV/atom.